Entry 1:
Material: Ca2Ni10H
Method: DFT, GGA-PBE
State: relaxed

abc: 5.0353 5.0353 7.8075
angles: 90.00 90.00 121.41
With the nearest neighbours (Å) after each atom.
Atoms (fractional coordinates):
Ca1 0.0000 0.0000 0.0000  2 H 2.46
Ca2 0.0000 0.0000 0.5000  14 Ni 2.83-3.16
Ni1 0.0000 0.5000 0.2563  8 Ni 2.41-2.52
Ni2 0.0000 0.5000 0.7437  8 Ni 2.41-2.52
Ni3 0.3142 0.6858 0.0000  1 H 1.63
Ni4 0.3425 0.6575 0.5000  6 Ni 2.41-2.43
Ni5 0.5000 0.0000 0.2563  8 Ni 2.41-2.52
Ni6 0.5000 0.0000 0.7437  8 Ni 2.41-2.52
Ni7 0.5000 0.5000 0.2434  1 H 1.90
Ni8 0.5000 0.5000 0.7566  1 H 1.90
Ni9 0.6575 0.3425 0.5000  6 Ni 2.41-2.43
Ni10 0.6858 0.3142 0.0000  1 H 1.63
H1 0.5000 0.5000 0.0000  2 Ni 1.63

Computed properties:
The magnetic moment comes out at 0.230 μB/atom. The calculation puts the energy at -66.726 eV for the cell shown. The energy of formation from the pure elements comes out at -1.70 eV/f.u. Its energy above the most stable polymorph in this dataset is 0.0 meV per atom. Its symmetry is Cmmm, No. 65.

***

Entry 2:
Material: Mg6AlCdO8
Method: DFT, GGA-PBE
State: relaxed

abc: 4.4086 4.4086 8.6882
angles: 90.00 90.00 90.00
With the nearest neighbours (Å) after each atom.
Atoms (fractional coordinates):
Mg1 0.0000 0.0000 0.0000  6 O 2.15-2.20
Mg2 0.0000 0.0000 0.5000  6 O 2.20
Mg3 0.0000 0.5000 0.2484  6 O 2.16-2.23
Mg4 0.0000 0.5000 0.7516  6 O 2.16-2.23
Mg5 0.5000 0.0000 0.2484  6 O 2.16-2.23
Mg6 0.5000 0.0000 0.7516  6 O 2.16-2.23
Al1 0.5000 0.5000 0.0000  2 O 1.81
Cd1 0.5000 0.5000 0.5000  4 O 2.20
O1 0.0000 0.0000 0.2472  6 Mg 2.15-2.20
O2 0.0000 0.0000 0.7528  6 Mg 2.15-2.20
O3 0.0000 0.5000 0.0000  4 Mg 2.16-2.20, 2 Al 2.20
O4 0.0000 0.5000 0.5000  4 Mg 2.19-2.20, 2 Cd 2.20
O5 0.5000 0.0000 0.0000  4 Mg 2.16-2.20, 2 Al 2.20
O6 0.5000 0.0000 0.5000  4 Mg 2.19-2.20, 2 Cd 2.20
O7 0.5000 0.5000 0.2083  1 Al 1.81
O8 0.5000 0.5000 0.7917  1 Al 1.81

Computed properties:
The magnetic moment comes out at 0.000 μB/atom. The calculation puts the energy at -91.018 eV for the cell shown. The energy of formation from the pure elements comes out at -42.66 eV/f.u. Its energy above the most stable polymorph in this dataset is 0.0 meV per atom. Its symmetry is P4/mmm, No. 123.

***

Entry 3:
Material: LiZnGe
Method: DFT, GGA-PBE
State: relaxed

abc: 4.2864 4.2864 9.4196
angles: 90.00 90.00 120.00
With the nearest neighbours (Å) after each atom.
Atoms (fractional coordinates):
Li1 0.0000 0.0000 0.0000  6 Ge 2.79
Li2 0.0000 0.0000 0.3366  6 Zn 2.76-2.91, 3 Ge 2.91, 1 Li 3.08
Li3 0.0000 0.0000 0.6634  6 Zn 2.76-2.91, 3 Ge 2.91, 1 Li 3.08
Zn1 0.3333 0.6667 0.5000  3 Ge 2.47
Zn2 0.6667 0.3333 0.2063  4 Ge 2.56-2.77, 3 Li 2.76
Zn3 0.6667 0.3333 0.7937  4 Ge 2.56-2.77, 3 Li 2.76
Ge1 0.3333 0.6667 0.1365  3 Zn 2.56, 1 Ge 2.57, 3 Li 2.79
Ge2 0.3333 0.6667 0.8635  3 Zn 2.56, 1 Ge 2.57, 3 Li 2.79
Ge3 0.6667 0.3333 0.5000  5 Zn 2.47-2.77

Computed properties:
The calculation puts the energy at -25.622 eV for the cell shown. The energy of formation from the pure elements comes out at -0.75 eV/f.u. Its symmetry is P-6m2, No. 187.